## MgZn4Co6O16 (PBE+U)

Data for crystalline MgZn4Co6O16 at its relaxed geometry.

CIF file:
```
data_MgZn4Co6O16
_chemical_formula_sum 'Mg1 Zn4 Co6 O16'
_space_group_name_H-M_alt 'P 1'
_space_group_IT_number 1
_space_group_name_Hall 'P 1'
_cell_length_a 5.9078
_cell_length_b 5.8887
_cell_length_c 9.6437
_cell_angle_alpha 90.43
_cell_angle_beta 90.06
_cell_angle_gamma 120.80
loop_
_atom_site_label
_atom_site_fract_x
_atom_site_fract_y
_atom_site_fract_z
_atom_site_occupancy
O1 0.9747 0.4481 0.8683 1
Zn1 0.3195 0.6620 0.5323 1
Co1 0.8309 0.6698 0.7336 1
Zn2 0.6614 0.3346 0.4234 1
O2 0.0011 0.9823 0.8382 1
O3 0.0211 0.0104 0.3496 1
O4 0.6695 0.3537 0.6281 1
Co2 0.3340 0.1725 0.7337 1
O5 0.5145 0.0390 0.8648 1
Co3 0.1668 0.3347 0.2522 1
O6 0.0332 0.5155 0.3586 1
O7 0.3228 0.6618 0.1440 1
O8 0.3130 0.1571 0.1466 1
O9 0.1293 0.8147 0.6367 1
O10 0.6692 0.8688 0.6395 1
Zn3 0.3438 0.6693 0.9220 1
Co4 0.8332 0.1686 0.7404 1
O11 0.5546 0.5117 0.8663 1
O12 0.1620 0.3252 0.6443 1
O13 0.8493 0.1588 0.1459 1
O14 0.4688 0.5096 0.3671 1
Mg1 0.9914 0.9900 0.0289 1
Co5 0.6652 0.8306 0.2639 1
Co6 0.1691 0.8329 0.2522 1
O15 0.8554 0.6784 0.1454 1
O16 0.4646 0.9642 0.3688 1
Zn4 0.6815 0.3357 0.0279 1
```

The value obtained for the energy relative to the lowest polymorph listed for this composition is 0 meV per atom. For the total energy, the calculation gives -5.35 eV per atom. Its energy of formation is -1.360 eV/atom.

## Co5SnB2O10 (PBE+U)

Data for crystalline Co5SnB2O10 at its relaxed geometry.

CIF file:
```
data_Co5SnB2O10
_chemical_formula_sum 'Co10 Sn2 B4 O20'
_space_group_name_H-M_alt 'P 1'
_space_group_IT_number 1
_space_group_name_Hall 'P 1'
_cell_length_a 3.1832
_cell_length_b 9.5180
_cell_length_c 12.4654
_cell_angle_alpha 90.00
_cell_angle_beta 90.00
_cell_angle_gamma 90.00
loop_
_atom_site_label
_atom_site_fract_x
_atom_site_fract_y
_atom_site_fract_z
_atom_site_occupancy
O1 0.0000 0.3781 0.1385 1
Co1 0.5000 0.2680 0.2196 1
O2 0.5000 0.8672 0.5830 1
O3 0.5000 0.3559 0.3568 1
Sn1 0.0000 0.9918 0.1153 1
Co2 0.5000 0.7320 0.7196 1
B1 0.0000 0.9811 0.8616 1
O4 0.0000 0.5981 0.2352 1
Co3 0.5000 0.7334 0.9978 1
Co4 0.0000 0.4877 0.3837 1
O5 0.0000 0.9031 0.9579 1
O6 0.0000 0.1249 0.8589 1
Co5 0.0000 0.7338 0.4946 1
B2 0.0000 0.5256 0.1388 1
B3 0.0000 0.0189 0.3616 1
O7 0.0000 0.9038 0.7654 1
Co6 0.0000 0.2662 0.9946 1
O8 0.5000 0.3588 0.9233 1
O9 0.0000 0.6008 0.0434 1
O10 0.5000 0.6412 0.4233 1
O11 0.0000 0.3992 0.5434 1
O12 0.0000 0.0962 0.2654 1
O13 0.5000 0.8540 0.1430 1
Co7 0.5000 0.2631 0.7831 1
Co8 0.5000 0.2666 0.4978 1
O14 0.0000 0.0969 0.4579 1
O15 0.5000 0.1460 0.6430 1
Co9 0.0000 0.5123 0.8837 1
Sn2 0.0000 0.0082 0.6153 1
Co10 0.5000 0.7369 0.2831 1
O16 0.0000 0.8751 0.3589 1
O17 0.5000 0.6441 0.8568 1
O18 0.0000 0.4019 0.7352 1
O19 0.5000 0.1328 0.0830 1
O20 0.0000 0.6219 0.6385 1
B4 0.0000 0.4744 0.6388 1
```

For the total energy, the calculation gives -6.69 eV per atom. Its energy of formation is -1.835 eV/atom.

Magnetization, respectively: 12.2, 30.0 Bohr magnetons per cell.
Calculated density, respectively: 5.160, 5.232 g/cm³.